# 1
A plane-wave DFT calculation with meta-GGA r2SCAN was carried out for a relaxed structure of PrNd.

Unit cell a=3.774 b=3.774 c=5.908 alpha=90.00 beta=90.00 gamma=120.00
Element x y z (fractional)
Pr1 0.000 0.000 0.000
Nd1 0.333 0.667 0.500

Summary:
- Total DFT energy (no corrections): -58.75 eV/cell
- Energy of formation: 7 kJ/mol of formula units
- ΔE to the lowest computed polymorph: 0.07 eV/f.u.
- V: 73 Å³/cell

=====

# 2
A plane-wave DFT calculation with meta-GGA r2SCAN was carried out for a relaxed structure of PrNdSb4.

Unit cell a=4.396 b=4.396 c=18.636 alpha=89.89 beta=89.89 gamma=91.43
Element x y z (fractional)
Sb1 0.620 0.125 0.751
Sb2 0.632 0.632 0.562
Sb3 0.125 0.620 0.751
Sb4 0.133 0.133 0.938
Sb5 0.380 0.875 0.249
Sb6 0.867 0.867 0.062
Sb7 0.875 0.380 0.249
Sb8 0.368 0.368 0.438
Pr1 0.863 0.863 0.388
Pr2 0.137 0.137 0.612
Nd1 0.640 0.640 0.889
Nd2 0.360 0.360 0.111

Summary:
- Total DFT energy (no corrections): -334.58 eV/cell
- Energy of formation: -545 kJ/mol of formula units
- V: 360 Å³/cell

=====

# 3
A plane-wave DFT calculation with meta-GGA r2SCAN was carried out for a relaxed structure of PrNdTl2.

Unit cell a=5.525 b=5.525 c=5.525 alpha=60.00 beta=60.00 gamma=60.00
Element x y z (fractional)
Tl1 0.500 0.500 0.500
Tl2 0.000 0.000 0.000
Nd1 0.250 0.250 0.250
Pr1 0.750 0.750 0.750

Summary:
- Total DFT energy (no corrections): -167.19 eV/cell
- Energy of formation: -194 kJ/mol of formula units
- V: 119 Å³/cell

=====

# 4
A plane-wave DFT calculation with meta-GGA r2SCAN was carried out for a relaxed structure of NdPt2.

Unit cell a=5.488 b=5.488 c=5.488 alpha=60.00 beta=60.00 gamma=60.00
Element x y z (fractional)
Pt1 0.000 0.500 0.500
Pt2 0.500 0.000 0.500
Pt3 0.500 0.500 0.500
Pt4 0.500 0.500 0.000
Nd1 0.125 0.125 0.125
Nd2 0.875 0.875 0.875

Summary:
- Total DFT energy (no corrections): -271.71 eV/cell
- Energy of formation: -334 kJ/mol of formula units
- V: 117 Å³/cell

=====

# 5
A plane-wave DFT calculation with meta-GGA r2SCAN was carried out for a relaxed structure of NdSbPt.

Unit cell a=4.538 b=4.538 c=8.205 alpha=90.00 beta=90.00 gamma=120.00
Element x y z (fractional)
Nd1 0.000 0.000 0.998
Nd2 0.000 0.000 0.498
Sb1 0.667 0.333 0.239
Sb2 0.333 0.667 0.739
Pt1 0.333 0.667 0.287
Pt2 0.667 0.333 0.787

Summary:
- Total DFT energy (no corrections): -220.84 eV/cell
- Energy of formation: -367 kJ/mol of formula units
- V: 146 Å³/cell

=====

# 6
A plane-wave DFT calculation with meta-GGA r2SCAN was carried out for a relaxed structure of NdSiPt.

Unit cell a=7.807 b=7.807 c=7.807 alpha=148.70 beta=148.70 gamma=44.85
Element x y z (fractional)
Pt1 0.587 0.587 0.000
Pt2 0.337 0.837 0.500
Nd1 0.999 0.999 0.000
Nd2 0.749 0.249 0.500
Si1 0.418 0.418 0.000
Si2 0.168 0.668 0.500

Summary:
- Total DFT energy (no corrections): -186.84 eV/cell
- Energy of formation: -361 kJ/mol of formula units
- V: 128 Å³/cell

=====

# 7
A plane-wave DFT calculation with meta-GGA r2SCAN was carried out for a relaxed structure of YbNdPt2.

Unit cell a=4.963 b=4.963 c=4.963 alpha=60.00 beta=60.00 gamma=60.00
Element x y z (fractional)
Yb1 0.000 0.000 0.000
Pt1 0.250 0.250 0.250
Pt2 0.750 0.750 0.750
Nd1 0.500 0.500 0.500

Summary:
- Total DFT energy (no corrections): -173.89 eV/cell
- Energy of formation: -479 kJ/mol of formula units
- V: 86 Å³/cell

=====

# 8
A plane-wave DFT calculation with meta-GGA r2SCAN was carried out for a relaxed structure of RbNdS2.

Unit cell a=8.053 b=8.053 c=8.053 alpha=30.36 beta=30.36 gamma=30.36
Element x y z (fractional)
S1 0.233 0.233 0.233
S2 0.767 0.767 0.767
Rb1 0.000 0.000 0.000
Nd1 0.500 0.500 0.500

Summary:
- Total DFT energy (no corrections): -67.83 eV/cell
- Energy of formation: -811 kJ/mol of formula units
- V: 118 Å³/cell

=====

# 9
A plane-wave DFT calculation with meta-GGA r2SCAN was carried out for a relaxed structure of RbNdSe2.

Unit cell a=8.357 b=8.357 c=8.357 alpha=30.30 beta=30.30 gamma=30.30
Element x y z (fractional)
Se1 0.234 0.234 0.234
Se2 0.766 0.766 0.766
Rb1 0.000 0.000 0.000
Nd1 0.500 0.500 0.500

Summary:
- Total DFT energy (no corrections): -80.04 eV/cell
- Energy of formation: -779 kJ/mol of formula units
- V: 132 Å³/cell

=====

# 10
A plane-wave DFT calculation with meta-GGA r2SCAN was carried out for a relaxed structure of RbNdTe4.

Unit cell a=6.982 b=6.982 c=9.232 alpha=90.00 beta=90.00 gamma=90.00
Element x y z (fractional)
Rb1 0.750 0.750 0.000
Rb2 0.250 0.250 0.000
Te1 0.608 0.108 0.294
Te2 0.392 0.608 0.294
Te3 0.108 0.892 0.294
Te4 0.108 0.608 0.706
Te5 0.892 0.108 0.706
Te6 0.608 0.392 0.706
Te7 0.892 0.392 0.294
Te8 0.392 0.892 0.706
Nd1 0.250 0.250 0.500
Nd2 0.750 0.750 0.500

Summary:
- Total DFT energy (no corrections): -303.77 eV/cell
- Energy of formation: -662 kJ/mol of formula units
- V: 450 Å³/cell

=====

# 11
A plane-wave DFT calculation with meta-GGA r2SCAN was carried out for a relaxed structure of Nd2Re3Si5.

Unit cell a=11.002 b=11.002 c=5.716 alpha=90.00 beta=90.00 gamma=90.00
Element x y z (fractional)
Si1 0.171 0.329 0.750
Si2 0.000 0.000 0.731
Si3 0.829 0.671 0.750
Si4 0.329 0.829 0.250
Si5 0.317 0.023 0.500
Si6 0.000 0.000 0.269
Si7 0.817 0.477 0.000
Si8 0.523 0.817 0.000
Si9 0.183 0.523 0.000
Si10 0.671 0.171 0.250
Si11 0.023 0.683 0.500
Si12 0.683 0.977 0.500
Si13 0.171 0.329 0.250
Si14 0.329 0.829 0.750
Si15 0.500 0.500 0.769
Si16 0.477 0.183 0.000
Si17 0.671 0.171 0.750
Si18 0.977 0.317 0.500
Si19 0.829 0.671 0.250
Si20 0.500 0.500 0.231
Re1 0.500 0.000 0.250
Re2 0.649 0.626 0.000
Re3 0.126 0.149 0.500
Re4 0.374 0.649 0.000
Re5 0.500 0.000 0.750
Re6 0.149 0.874 0.500
Re7 0.000 0.500 0.750
Re8 0.851 0.126 0.500
Re9 0.000 0.500 0.250
Re10 0.626 0.351 0.000
Re11 0.351 0.374 0.000
Re12 0.874 0.851 0.500
Nd1 0.922 0.237 0.000
Nd2 0.578 0.737 0.500
Nd3 0.263 0.578 0.500
Nd4 0.237 0.078 0.000
Nd5 0.737 0.422 0.500
Nd6 0.763 0.922 0.000
Nd7 0.078 0.763 0.000
Nd8 0.422 0.263 0.500

Summary:
- Total DFT energy (no corrections): -1064.01 eV/cell
- Energy of formation: -585 kJ/mol of formula units
- V: 692 Å³/cell

=====

# 12
A plane-wave DFT calculation with meta-GGA r2SCAN was carried out for a relaxed structure of NdRh3.

Unit cell a=5.294 b=5.294 c=17.566 alpha=90.00 beta=90.00 gamma=120.00
Element x y z (fractional)
Rh1 0.167 0.333 0.128
Rh2 0.667 0.833 0.372
Rh3 0.333 0.667 0.250
Rh4 0.333 0.167 0.628
Rh5 0.000 0.000 0.750
Rh6 0.667 0.833 0.128
Rh7 0.833 0.667 0.628
Rh8 0.167 0.833 0.372
Rh9 0.833 0.167 0.872
Rh10 0.833 0.667 0.872
Rh11 0.000 0.000 0.250
Rh12 0.167 0.333 0.372
Rh13 0.000 0.000 0.500
Rh14 0.667 0.333 0.750
Rh15 0.000 0.000 0.000
Rh16 0.833 0.167 0.628
Rh17 0.333 0.167 0.872
Rh18 0.167 0.833 0.128
Nd1 0.333 0.667 0.958
Nd2 0.667 0.333 0.250
Nd3 0.333 0.667 0.750
Nd4 0.667 0.333 0.458
Nd5 0.667 0.333 0.042
Nd6 0.333 0.667 0.542

Summary:
- Total DFT energy (no corrections): -624.15 eV/cell
- Energy of formation: -212 kJ/mol of formula units
- V: 426 Å³/cell

=====

Q: What is the total DFT energy (no corrections) in the eighth record?
A: -67.83 eV/cell

=====

Q: Number 10 is which compound?
A: RbNdTe4

=====

Q: What is the formula in the eighth record?
A: RbNdS2